# 1
! GGA+U MgMn2O4, relaxed; values from VASP
! ρ   3.75 Mg/m³
&SYSTEM
  ibrav = 0, nat = 7, ntyp = 3
/
ATOMIC_SPECIES
Mg 24.30 Mg.upf
Mn 54.94 Mn.upf
O 16.00 O.upf
CELL_PARAMETERS angstrom
3.085 0.000 0.000
1.518 2.687 0.000
1.531 0.891 10.581
ATOMIC_POSITIONS crystal
Mg 0.000 0.000 0.000
Mn 0.421 0.426 0.715
Mn 0.904 0.909 0.263
O 0.060 0.065 0.813
O 0.218 0.223 0.325
O 0.639 0.639 0.078
O 0.779 0.783 0.636



# 2
! GGA+U Ba2CaV2Si4O14, relaxed; values from VASP
! ρ   3.69 Mg/m³
&SYSTEM
  ibrav = 0, nat = 23, ntyp = 5
/
ATOMIC_SPECIES
Ba 137.33 Ba.upf
Ca 40.08 Ca.upf
V 50.94 V.upf
Si 28.09 Si.upf
O 16.00 O.upf
CELL_PARAMETERS angstrom
5.701 0.000 0.000
-0.048 7.715 0.000
-2.821 -2.069 7.697
ATOMIC_POSITIONS crystal
Ba 0.000 0.000 0.000
Ba 0.349 0.633 0.713
Ca 0.373 0.204 0.763
V 0.043 0.516 0.081
V 0.222 0.876 0.434
Si 0.565 0.806 0.128
Si 0.579 0.247 0.150
Si 0.770 0.824 0.541
Si 0.776 0.401 0.569
O 0.053 0.361 0.674
O 0.060 0.924 0.624
O 0.168 0.042 0.331
O 0.172 0.643 0.345
O 0.279 0.713 0.033
O 0.299 0.297 0.052
O 0.552 0.016 0.097
O 0.567 0.925 0.627
O 0.576 0.358 0.653
O 0.664 0.816 0.336
O 0.689 0.315 0.359
O 0.753 0.711 0.033
O 0.759 0.297 0.049
O 0.793 0.629 0.590



For reference, energy above the most stable polymorph in this dataset by record: 0.328, 0.119 eV per atom.